(1)
# MgCr4Hg4H4O18

A relaxed structure of MgCr4Hg4H4O18 (GGA+U, the Materials Project).

abc: 5.872 6.510 13.458
angles: 77.47 79.64 63.70
Fractional positions:
Mg 0.000 0.000 0.000
Cr 0.023 0.063 0.747
Cr 0.134 0.484 0.935
Cr 0.364 0.603 0.256
Cr 0.699 0.992 0.436
Hg 0.184 0.176 0.239
Hg 0.549 0.907 0.938
Hg 0.638 0.645 0.724
Hg 0.865 0.394 0.495
H 0.250 0.647 0.557
H 0.333 0.430 0.640
H 0.669 0.246 0.130
H 0.750 0.990 0.182
O 0.147 0.653 0.012
O 0.154 0.475 0.279
O 0.211 0.176 0.991
O 0.214 0.883 0.192
O 0.277 0.497 0.820
O 0.348 0.953 0.765
O 0.398 0.533 0.593
O 0.428 0.132 0.498
O 0.440 0.611 0.363
O 0.625 0.460 0.187
O 0.648 0.974 0.323
O 0.717 0.087 0.114
O 0.805 0.568 0.922
O 0.849 0.724 0.505
O 0.854 0.090 0.869
O 0.902 0.130 0.419
O 0.922 0.933 0.686
O 0.939 0.353 0.674

Results
Symmetry ... P1, No. 1

***

(2)
# MgCr4Hg4H4O18

A relaxed structure of MgCr4Hg4H4O18 (GGA+U, the Materials Project).

abc: 6.567 6.567 14.071
angles: 93.78 93.78 49.06
Fractional positions:
Mg 0.000 0.000 0.000
Cr 0.106 0.733 0.172
Cr 0.267 0.894 0.828
Cr 0.401 0.246 0.645
Cr 0.754 0.599 0.355
Hg 0.324 0.105 0.159
Hg 0.577 0.220 0.380
Hg 0.780 0.423 0.620
Hg 0.895 0.676 0.841
H 0.107 0.811 0.540
H 0.189 0.893 0.460
H 0.503 0.454 0.946
H 0.546 0.497 0.054
O 0.019 0.503 0.418
O 0.036 0.964 0.500
O 0.056 0.473 0.660
O 0.118 0.001 0.724
O 0.166 0.725 0.888
O 0.182 0.111 0.921
O 0.275 0.834 0.112
O 0.379 0.376 0.185
O 0.473 0.413 0.586
O 0.497 0.981 0.582
O 0.527 0.944 0.340
O 0.550 0.156 0.750
O 0.587 0.527 0.414
O 0.624 0.621 0.815
O 0.635 0.365 0.000
O 0.844 0.450 0.250
O 0.889 0.818 0.079
O 0.999 0.882 0.276

Results
Symmetry ... C2, No. 5

***

(3)
# MgCr4Hg4H4O18

A relaxed structure of MgCr4Hg4H4O18 (GGA+U, the Materials Project).

abc: 5.622 6.438 13.666
angles: 78.12 79.74 66.86
Fractional positions:
Mg 0.000 0.000 0.000
Cr 0.140 0.301 0.541
Cr 0.251 0.686 0.731
Cr 0.542 0.819 0.053
Cr 0.819 0.203 0.232
Hg 0.000 0.631 0.268
Hg 0.317 0.383 0.041
Hg 0.633 0.118 0.742
Hg 0.762 0.896 0.492
H 0.046 0.306 0.838
H 0.369 0.876 0.353
H 0.428 0.661 0.434
H 0.749 0.405 0.877
O 0.052 0.336 0.215
O 0.056 0.162 0.476
O 0.081 0.575 0.480
O 0.299 0.093 0.012
O 0.308 0.704 0.034
O 0.320 0.400 0.790
O 0.323 0.824 0.802
O 0.428 0.689 0.625
O 0.468 0.171 0.559
O 0.507 0.767 0.394
O 0.544 0.317 0.299
O 0.565 0.780 0.173
O 0.780 0.165 0.114
O 0.813 0.803 0.973
O 0.899 0.262 0.876
O 0.928 0.811 0.711
O 0.970 0.306 0.651
O 0.982 0.930 0.307

Results
Symmetry ... P1, No. 1

***

Distance to the lowest polymorph of the same formula: 0.0132; 0.0137; 0.0000 (eV/atom)
Energy of formation: -42.43; -42.41; -42.84 (eV/f.u.)
Total DFT energy (no corrections): -5.36; -5.36; -5.37 (eV per atom)